YMg6Sn | PBE | optimized geometry Values from VASP.

Cell and atoms, written as Quantum ESPRESSO input:
```
&SYSTEM
  ibrav = 0, nat = 16, ntyp = 3
/
ATOMIC_SPECIES
Mg 24.30 Mg.upf
Sn 118.71 Sn.upf
Y 88.91 Y.upf
CELL_PARAMETERS angstrom
-1.294 4.287 2.495
-6.068 -0.251 -2.715
-3.688 -6.246 8.820
ATOMIC_POSITIONS angstrom
Mg -6.814 -0.672 2.887
Mg -6.116 -5.346 6.013
Mg -3.647 -0.541 4.304
Mg -6.145 -2.155 5.782
Mg -4.870 -0.687 -1.346
Mg -1.785 -0.559 0.035
Mg -6.664 -3.808 3.087
Mg -1.238 -2.097 2.961
Mg -8.525 -3.790 7.357
Mg -1.267 1.094 2.730
Mg -3.680 -3.684 4.422
Mg -5.624 -3.670 8.655
Sn -4.301 0.969 1.372
Sn -3.110 -2.029 7.139
Y -3.056 -5.177 7.309
Y -4.246 -2.179 1.542
```

As for the total energy: -2.608 eV per atom. As for the energy of formation from the pure elements: -0.79 eV/f.u. The value obtained for the spin magnetization is 0.0 μB/f.u. The value obtained for the energy above the most stable polymorph in this dataset is 0.018 eV per atom.

=====

YMg6Sn | PBE | optimized geometry Values from VASP.

Cell and atoms, written as Quantum ESPRESSO input:
```
&SYSTEM
  ibrav = 0, nat = 16, ntyp = 3
/
ATOMIC_SPECIES
Y 88.91 Y.upf
Mg 24.30 Mg.upf
Sn 118.71 Sn.upf
CELL_PARAMETERS angstrom
5.192 0.000 0.000
0.000 6.321 0.000
0.000 0.000 11.755
ATOMIC_POSITIONS angstrom
Y 2.596 0.000 2.041
Y 2.596 3.161 7.919
Mg 0.000 4.721 6.753
Mg 0.000 0.000 3.953
Mg 2.596 1.580 4.947
Mg 2.596 4.742 4.947
Mg 2.596 1.581 10.825
Mg 0.000 3.161 9.831
Mg 0.000 4.761 0.875
Mg 0.000 1.600 6.753
Mg 0.000 1.560 0.875
Mg 0.000 3.161 3.907
Mg 0.000 0.000 9.785
Mg 2.596 4.740 10.825
Sn 2.596 3.161 1.963
Sn 2.596 0.000 7.841
```

As for the total energy: -2.626 eV per atom. As for the energy of formation from the pure elements: -0.93 eV/f.u. The value obtained for the spin magnetization is 0.0 μB/f.u. The value obtained for the energy above the most stable polymorph in this dataset is 0.000 eV per atom.

=====

YMg14Sn | PBE | optimized geometry Values from VASP.

Cell and atoms, written as Quantum ESPRESSO input:
```
&SYSTEM
  ibrav = 0, nat = 16, ntyp = 3
/
ATOMIC_SPECIES
Mg 24.30 Mg.upf
Y 88.91 Y.upf
Sn 118.71 Sn.upf
CELL_PARAMETERS angstrom
-0.305 6.450 -0.195
-5.067 -3.533 -1.893
-3.748 0.119 9.806
ATOMIC_POSITIONS angstrom
Mg -4.372 4.890 8.088
Mg -2.357 1.607 3.311
Mg -4.911 1.336 -0.488
Mg -4.762 -1.821 -0.393
Mg -5.012 3.064 2.183
Mg -6.607 -1.809 4.522
Mg -4.220 1.666 8.186
Mg -6.755 -0.101 7.239
Mg -4.891 -0.160 2.364
Mg -2.324 3.140 0.479
Mg -2.509 4.831 3.213
Mg -6.938 3.126 7.225
Mg -4.252 3.196 5.361
Mg -6.761 1.447 4.424
Y -2.208 -0.088 0.562
Sn -4.082 -0.028 5.465
```

As for the total energy: -2.085 eV per atom. As for the energy of formation from the pure elements: -0.48 eV/f.u. The value obtained for the spin magnetization is 0.0 μB/f.u. The value obtained for the energy above the most stable polymorph in this dataset is 0.031 eV per atom.

=====

YMg14Sn | PBE | optimized geometry Values from VASP.

Cell and atoms, written as Quantum ESPRESSO input:
```
&SYSTEM
  ibrav = 0, nat = 16, ntyp = 3
/
ATOMIC_SPECIES
Mg 24.30 Mg.upf
Sn 118.71 Sn.upf
Y 88.91 Y.upf
CELL_PARAMETERS angstrom
-2.029 -5.180 3.395
5.457 2.831 1.625
-5.200 6.294 6.496
ATOMIC_POSITIONS angstrom
Mg 2.563 -0.289 4.426
Mg -0.204 -1.724 3.602
Mg -5.300 1.629 8.741
Mg -2.778 1.427 6.867
Mg 0.958 5.439 5.970
Mg -4.283 4.203 7.055
Mg -2.763 -1.443 5.571
Mg 0.982 2.553 4.703
Mg -1.552 5.620 7.868
Mg -2.607 3.087 9.597
Mg -1.750 1.136 3.890
Mg 0.001 -0.070 6.340
Mg -1.770 4.019 5.162
Mg -0.061 2.837 7.676
Sn 3.563 2.261 2.756
Y 0.828 0.881 1.903
```

As for the total energy: -2.116 eV per atom. As for the energy of formation from the pure elements: -0.98 eV/f.u. The value obtained for the spin magnetization is 0.0 μB/f.u. The value obtained for the energy above the most stable polymorph in this dataset is 0.000 eV per atom.

=====

Mg14ZnSn | PBE | optimized geometry Values from VASP.

Cell and atoms, written as Quantum ESPRESSO input:
```
&SYSTEM
  ibrav = 0, nat = 16, ntyp = 3
/
ATOMIC_SPECIES
Mg 24.30 Mg.upf
Zn 65.41 Zn.upf
Sn 118.71 Sn.upf
CELL_PARAMETERS angstrom
-5.833 -2.092 -1.138
3.232 -2.162 4.990
-3.904 7.693 5.861
ATOMIC_POSITIONS angstrom
Mg -3.209 4.602 8.068
Mg -1.685 -2.236 4.133
Mg -7.747 4.622 5.015
Mg -3.301 -1.155 1.637
Mg -5.794 0.774 2.083
Mg -2.338 3.737 5.138
Mg -4.814 5.675 5.590
Mg -0.721 2.657 7.632
Mg -1.255 0.750 5.133
Mg -6.113 3.532 7.494
Mg -5.249 2.694 4.568
Mg -3.635 1.614 7.061
Mg -2.859 1.823 2.656
Mg -4.177 -0.283 4.588
Zn -0.380 -0.105 2.205
Sn 1.233 -1.188 4.701
```

As for the total energy: -1.754 eV per atom. As for the energy of formation from the pure elements: -0.39 eV/f.u. The value obtained for the spin magnetization is 0.0 μB/f.u. The value obtained for the energy above the most stable polymorph in this dataset is 0.012 eV per atom.

=====

Mg14ZnSn | PBE | optimized geometry Values from VASP.

Cell and atoms, written as Quantum ESPRESSO input:
```
&SYSTEM
  ibrav = 0, nat = 16, ntyp = 3
/
ATOMIC_SPECIES
Mg 24.30 Mg.upf
Zn 65.41 Zn.upf
Sn 118.71 Sn.upf
CELL_PARAMETERS angstrom
6.304 0.000 0.000
-3.152 5.459 0.000
0.000 0.000 10.384
ATOMIC_POSITIONS angstrom
Mg 1.569 0.914 3.842
Mg -1.577 4.549 6.490
Mg 4.735 0.914 3.842
Mg -1.577 4.549 1.298
Mg 1.577 4.549 6.490
Mg 3.152 1.821 6.490
Mg 1.569 0.914 9.138
Mg 1.577 4.549 1.298
Mg 4.735 0.914 9.138
Mg 0.000 3.631 3.842
Mg 3.152 3.640 9.104
Mg 3.152 3.640 3.877
Mg 0.000 3.631 9.138
Mg 3.152 1.821 1.298
Zn 0.000 1.820 1.298
Sn 0.000 1.820 6.490
```

As for the total energy: -1.765 eV per atom. As for the energy of formation from the pure elements: -0.57 eV/f.u. The value obtained for the spin magnetization is 0.0 μB/f.u. The value obtained for the energy above the most stable polymorph in this dataset is 0.000 eV per atom.

=====

Mg6ZnSn | PBE | optimized geometry Values from VASP.

Cell and atoms, written as Quantum ESPRESSO input:
```
&SYSTEM
  ibrav = 0, nat = 16, ntyp = 3
/
ATOMIC_SPECIES
Mg 24.30 Mg.upf
Sn 118.71 Sn.upf
Zn 65.41 Zn.upf
CELL_PARAMETERS angstrom
-4.242 1.172 -2.511
0.533 -5.273 -3.362
-6.012 -5.460 7.611
ATOMIC_POSITIONS angstrom
Mg -4.454 -3.010 1.008
Mg -4.194 -5.577 -0.629
Mg -1.991 -1.808 2.520
Mg -3.364 -4.510 3.580
Mg -4.731 -7.175 4.645
Mg -0.091 -4.417 -1.907
Mg -5.859 -5.687 2.132
Mg -3.119 -0.321 0.008
Mg -0.361 -1.752 -0.208
Mg -7.193 -8.377 3.132
Mg -7.467 -5.670 4.858
Mg -3.100 -7.118 1.917
Sn -2.836 -2.943 -1.693
Sn -6.109 -3.036 3.793
Zn -5.135 -4.663 6.500
Zn -1.862 -4.570 1.014
```

As for the total energy: -1.895 eV per atom. As for the energy of formation from the pure elements: -0.29 eV/f.u. The value obtained for the spin magnetization is 0.0 μB/f.u.

=====

Mg6ZnSn | PBE | optimized geometry Values from VASP.

Cell and atoms, written as Quantum ESPRESSO input:
```
&SYSTEM
  ibrav = 0, nat = 16, ntyp = 3
/
ATOMIC_SPECIES
Mg 24.30 Mg.upf
Sn 118.71 Sn.upf
Zn 65.41 Zn.upf
CELL_PARAMETERS angstrom
4.978 0.000 0.000
0.000 6.485 0.000
0.000 0.000 10.872
ATOMIC_POSITIONS angstrom
Mg 0.000 4.933 9.957
Mg 0.000 0.000 1.781
Mg 0.000 3.242 1.852
Mg 0.000 0.000 7.288
Mg 2.489 1.621 6.346
Mg 0.000 4.794 4.521
Mg 2.489 4.864 6.346
Mg 0.000 1.690 4.521
Mg 2.489 4.863 0.910
Mg 2.489 1.621 0.910
Mg 0.000 1.552 9.957
Mg 0.000 3.242 7.216
Sn 2.489 3.242 9.063
Sn 2.489 0.000 3.628
Zn 2.489 3.242 3.621
Zn 2.489 0.000 9.057
```

As for the total energy: -1.894 eV per atom. As for the energy of formation from the pure elements: -0.28 eV/f.u. The value obtained for the spin magnetization is 0.0 μB/f.u.

=====

Mg6ZrSn | PBE | optimized geometry Values from VASP.

Cell and atoms, written as Quantum ESPRESSO input:
```
&SYSTEM
  ibrav = 0, nat = 16, ntyp = 3
/
ATOMIC_SPECIES
Mg 24.30 Mg.upf
Sn 118.71 Sn.upf
Zr 91.22 Zr.upf
CELL_PARAMETERS angstrom
-2.183 4.138 -2.084
-4.316 -0.058 4.406
6.549 6.731 6.503
ATOMIC_POSITIONS angstrom
Mg -1.594 4.842 4.990
Mg 0.037 2.226 4.382
Mg 1.693 8.208 8.229
Mg 0.576 4.871 2.774
Mg 5.469 5.621 5.430
Mg -0.526 0.521 1.584
Mg 2.683 3.885 4.903
Mg 0.591 3.857 7.039
Mg -2.750 0.491 3.855
Mg 3.283 5.563 7.605
Mg 3.838 8.237 6.038
Mg 2.166 2.226 2.151
Sn -2.155 3.165 2.247
Sn 3.277 6.559 3.296
Zr 0.031 3.223 0.073
Zr 1.148 6.560 5.527
```

As for the total energy: -2.820 eV per atom. As for the energy of formation from the pure elements: -0.40 eV/f.u. The value obtained for the spin magnetization is 0.0 μB/f.u. The value obtained for the energy above the most stable polymorph in this dataset is 0.000 eV per atom.

=====

Mg6ZrSn | PBE | optimized geometry Values from VASP.

Cell and atoms, written as Quantum ESPRESSO input:
```
&SYSTEM
  ibrav = 0, nat = 16, ntyp = 3
/
ATOMIC_SPECIES
Mg 24.30 Mg.upf
Sn 118.71 Sn.upf
Zr 91.22 Zr.upf
CELL_PARAMETERS angstrom
4.987 0.000 0.000
0.000 6.541 0.000
0.000 0.000 11.103
ATOMIC_POSITIONS angstrom
Mg 0.000 1.607 0.901
Mg 0.000 4.877 6.452
Mg 2.493 0.000 1.854
Mg 0.000 1.664 6.452
Mg 2.493 4.895 10.181
Mg 2.493 4.917 4.630
Mg 2.493 3.270 7.405
Mg 0.000 0.000 3.715
Mg 2.493 1.624 4.630
Mg 2.493 1.646 10.181
Mg 0.000 3.270 9.266
Mg 0.000 4.934 0.901
Sn 2.493 3.270 1.897
Sn 2.493 0.000 7.449
Zr 0.000 3.270 3.678
Zr 0.000 0.000 9.229
```

As for the total energy: -2.808 eV per atom. As for the energy of formation from the pure elements: -0.31 eV/f.u. The value obtained for the spin magnetization is 0.0 μB/f.u. The value obtained for the energy above the most stable polymorph in this dataset is 0.011 eV per atom.

=====

SrMg3 | PBE | optimized geometry Values from VASP.

Cell and atoms, written as Quantum ESPRESSO input:
```
&SYSTEM
  ibrav = 0, nat = 4, ntyp = 2
/
ATOMIC_SPECIES
Mg 24.30 Mg.upf
Sr 87.62 Sr.upf
CELL_PARAMETERS angstrom
-1.941 2.360 -1.843
-1.621 -2.445 2.032
0.288 6.880 8.504
ATOMIC_POSITIONS angstrom
Mg 0.222 5.310 6.564
Mg -1.835 0.758 -0.551
Mg 0.066 1.570 1.941
Sr -1.691 4.198 3.701
```

As for the total energy: -1.462 eV per atom. As for the energy of formation from the pure elements: 0.64 eV/f.u. The value obtained for the spin magnetization is 0.0 μB/f.u.

=====

Sr3Mg | PBE | optimized geometry Values from VASP.

Cell and atoms, written as Quantum ESPRESSO input:
```
&SYSTEM
  ibrav = 0, nat = 4, ntyp = 2
/
ATOMIC_SPECIES
Mg 24.30 Mg.upf
Sr 87.62 Sr.upf
CELL_PARAMETERS angstrom
2.104 -3.644 0.000
2.104 3.644 0.000
0.000 0.000 12.373
ATOMIC_POSITIONS angstrom
Mg 2.104 -1.215 6.187
Sr 0.000 0.000 8.850
Sr 2.104 -1.215 0.000
Sr 0.000 0.000 3.523
```

As for the total energy: -1.595 eV per atom. As for the energy of formation from the pure elements: 0.29 eV/f.u. The value obtained for the spin magnetization is 0.0 μB/f.u.